[1]
Below is a relaxed UH42C14S7Cl4O7 crystal, with properties calculated at the PBE-GGA level.

Output
* calculated formation energy: -0.4496 eV/atom
* mass density: 1.65 Mg/m³

a = 10.0945 Å, b = 16.1185 Å, c = 22.8934 Å
α = 90.00°, β = 90.00°, γ = 92.07°
Fractional positions:
H (0.9830, 0.6811, 0.6691)
H (0.4444, 0.6225, 0.4649)
H (0.3638, 0.0652, 0.2014)
H (0.5783, 0.7876, 0.7622)
H (0.5948, 0.2792, 0.7665)
H (0.6522, 0.8906, 0.1867)
H (0.6195, 0.5448, 0.2945)
H (0.2243, 0.9826, 0.4013)
H (0.4918, 0.4631, 0.6424)
H (0.1855, 0.9422, 0.3064)
H (0.8638, 0.5652, 0.2986)
H (0.3665, 0.9103, 0.7210)
H (0.5262, 0.6695, 0.6240)
H (0.9621, 0.5747, 0.3658)
H (0.0853, 0.8986, 0.0408)
H (0.7166, 0.3623, 0.2460)
H (0.2196, 0.8376, 0.3312)
H (0.5170, 0.8189, 0.1691)
H (0.6564, 0.7484, 0.6203)
H (0.4738, 0.3305, 0.3760)
H (0.2834, 0.6377, 0.7540)
H (0.0379, 0.4253, 0.6342)
H (0.2340, 0.7296, 0.5146)
H (0.0783, 0.2876, 0.7378)
H (0.3690, 0.5405, 0.6546)
H (0.5853, 0.3986, 0.4592)
H (0.0615, 0.1772, 0.2455)
H (0.7757, 0.0174, 0.5987)
H (0.4147, 0.6014, 0.5408)
H (0.3092, 0.9933, 0.4701)
H (0.0327, 0.8482, 0.5883)
H (0.9052, 0.2208, 0.2665)
H (0.5379, 0.9253, 0.8658)
H (0.4830, 0.1811, 0.8309)
H (0.1787, 0.8049, 0.4627)
H (0.7804, 0.1624, 0.6688)
H (0.6310, 0.4595, 0.3454)
H (0.3633, 0.5406, 0.9690)
H (0.6362, 0.9348, 0.7986)
H (0.7243, 0.4826, 0.0987)
H (0.4217, 0.2124, 0.2378)
H (0.9738, 0.8305, 0.1240)
H (0.9341, 0.4233, 0.5265)
H (0.1693, 0.6238, 0.0887)
H (0.5373, 0.5693, 0.1294)
H (0.8633, 0.0406, 0.5310)
H (0.6908, 0.0067, 0.5299)
H (0.6693, 0.1238, 0.4113)
H (0.4841, 0.8745, 0.6295)
H (0.3713, 0.9794, 0.1506)
H (0.9277, 0.2904, 0.6942)
H (0.7009, 0.1986, 0.0606)
H (0.3307, 0.8762, 0.5887)
H (0.4295, 0.0806, 0.9734)
H (0.4385, 0.3228, 0.7455)
H (0.5205, 0.0702, 0.4383)
H (0.9673, 0.1518, 0.4117)
H (0.8665, 0.4103, 0.7790)
H (0.1866, 0.1426, 0.9043)
H (0.2875, 0.5846, 0.1814)
H (0.5556, 0.3775, 0.5351)
H (0.8690, 0.0405, 0.8454)
H (0.8227, 0.7211, 0.6881)
H (0.3478, 0.1094, 0.8133)
H (0.6855, 0.4422, 0.1936)
H (0.7658, 0.4987, 0.7699)
H (0.3436, 0.2516, 0.3797)
H (0.8134, 0.8574, 0.0957)
H (0.1367, 0.9594, 0.4690)
H (0.9147, 0.1014, 0.9592)
H (0.2658, 0.9987, 0.7301)
H (0.0373, 0.0693, 0.3706)
H (0.1908, 0.5067, 0.9701)
H (0.4052, 0.7208, 0.2335)
H (0.8436, 0.7516, 0.1203)
H (0.1335, 0.5897, 0.2210)
H (0.4341, 0.9233, 0.9735)
H (0.2757, 0.5174, 0.9013)
H (0.2166, 0.8623, 0.2540)
H (0.6866, 0.6426, 0.5957)
H (0.9281, 0.9246, 0.0093)
H (0.1773, 0.2789, 0.3119)
H (0.6287, 0.0206, 0.8494)
H (0.7342, 0.0013, 0.2699)
H (0.0965, 0.6076, 0.5486)
H (0.5519, 0.4549, 0.9374)
H (0.5705, 0.9194, 0.0266)
H (0.1195, 0.0448, 0.2055)
H (0.6335, 0.0897, 0.2790)
H (0.0170, 0.3189, 0.3309)
H (0.0159, 0.6255, 0.1295)
H (0.9444, 0.1225, 0.0351)
H (0.9206, 0.2587, 0.7705)
H (0.2342, 0.5013, 0.2301)
H (0.8478, 0.6094, 0.6867)
H (0.7125, 0.4154, 0.8186)
H (0.9795, 0.4298, 0.9383)
H (0.4673, 0.6518, 0.0883)
H (0.4035, 0.8924, 0.0486)
H (0.0590, 0.7954, 0.8100)
H (0.7340, 0.2296, 0.9854)
H (0.5659, 0.0767, 0.0265)
H (0.7660, 0.2704, 0.4854)
H (0.4627, 0.4307, 0.8706)
H (0.2804, 0.6624, 0.8312)
H (0.7196, 0.3376, 0.1688)
H (0.0723, 0.7096, 0.3058)
H (0.0262, 0.1695, 0.8760)
H (0.2125, 0.9154, 0.6814)
H (0.4481, 0.5451, 0.0626)
H (0.0556, 0.8775, 0.9649)
H (0.5723, 0.2096, 0.1942)
H (0.1564, 0.2484, 0.8797)
H (0.5590, 0.2954, 0.6900)
H (0.0948, 0.7792, 0.7335)
H (0.5082, 0.5369, 0.3576)
H (0.9410, 0.2046, 0.1900)
H (0.1362, 0.4348, 0.7014)
H (0.9217, 0.7124, 0.2622)
H (0.3805, 0.4552, 0.7055)
H (0.0719, 0.0754, 0.9907)
H (0.9481, 0.0451, 0.4374)
H (0.4795, 0.9298, 0.5617)
H (0.5719, 0.5754, 0.5093)
H (0.0794, 0.7413, 0.2295)
H (0.3145, 0.5578, 0.8064)
H (0.1287, 0.5206, 0.6506)
H (0.6787, 0.3049, 0.0373)
H (0.7875, 0.0846, 0.3186)
H (0.9627, 0.9307, 0.6294)
H (0.6367, 0.4594, 0.0310)
H (0.4410, 0.7046, 0.3100)
H (0.6773, 0.7789, 0.1881)
H (0.0519, 0.9549, 0.5626)
H (0.3227, 0.2211, 0.8119)
H (0.0705, 0.4194, 0.4734)
H (0.9841, 0.3745, 0.8705)
H (0.5159, 0.1255, 0.3705)
H (0.2991, 0.8014, 0.9394)
H (0.5327, 0.3482, 0.9117)
H (0.5965, 0.1076, 0.9514)
H (0.9918, 0.9631, 0.8576)
H (0.0659, 0.5767, 0.4735)
H (0.3134, 0.3574, 0.4043)
H (0.5794, 0.2413, 0.2705)
H (0.4277, 0.7904, 0.8058)
H (0.9385, 0.8228, 0.7545)
H (0.8213, 0.1951, 0.5373)
H (0.3213, 0.6951, 0.9627)
H (0.7834, 0.1377, 0.7460)
H (0.8092, 0.4933, 0.0299)
H (0.0082, 0.0369, 0.1424)
H (0.1522, 0.3906, 0.3133)
H (0.4281, 0.4246, 0.4907)
H (0.9035, 0.3924, 0.4514)
H (0.8145, 0.0578, 0.6936)
H (0.2660, 0.7704, 0.0146)
H (0.1310, 0.9595, 0.1546)
H (0.8713, 0.4794, 0.3494)
H (0.9295, 0.5806, 0.5266)
H (0.8307, 0.3762, 0.9113)
H (0.2009, 0.6986, 0.4394)
H (0.7991, 0.3014, 0.5606)
H (0.0205, 0.5702, 0.0617)
H (0.4621, 0.0747, 0.1342)
H (0.4206, 0.7587, 0.7295)
H (0.8805, 0.9552, 0.7945)
H (0.5615, 0.6772, 0.2545)
C (0.4879, 0.4089, 0.9145)
C (0.8855, 0.8082, 0.0998)
C (0.8732, 0.5474, 0.3449)
C (0.8923, 0.9745, 0.8404)
C (0.2028, 0.5487, 0.1994)
C (0.2859, 0.5019, 0.9477)
C (0.5167, 0.2806, 0.7329)
C (0.5206, 0.2405, 0.2299)
C (0.1076, 0.3287, 0.3045)
C (0.1738, 0.8754, 0.2973)
C (0.8924, 0.6713, 0.6955)
C (0.7972, 0.4513, 0.8006)
C (0.3262, 0.6246, 0.7973)
C (0.2972, 0.9513, 0.6994)
C (0.1077, 0.0255, 0.1596)
C (0.9833, 0.2194, 0.2329)
C (0.7028, 0.0487, 0.3006)
C (0.3855, 0.3082, 0.4002)
C (0.0779, 0.5889, 0.1004)
C (0.5253, 0.1075, 0.9878)
C (0.9879, 0.9089, 0.5855)
C (0.9747, 0.3925, 0.4878)
C (0.3923, 0.4745, 0.6596)
C (0.1145, 0.1918, 0.9002)
C (0.6077, 0.5255, 0.3404)
C (0.6268, 0.9526, 0.8449)
C (0.9906, 0.1188, 0.9919)
C (0.0167, 0.7806, 0.7671)
C (0.9221, 0.4111, 0.8996)
C (0.1268, 0.4526, 0.6551)
C (0.6145, 0.6918, 0.5998)
C (0.5779, 0.0889, 0.3996)
C (0.8262, 0.1246, 0.7027)
C (0.4221, 0.9111, 0.6004)
C (0.4747, 0.8925, 0.0122)
C (0.9794, 0.2595, 0.7299)
C (0.5121, 0.5911, 0.0855)
C (0.4833, 0.7194, 0.2671)
C (0.0206, 0.7405, 0.2701)
C (0.4906, 0.6188, 0.5081)
C (0.2141, 0.9981, 0.4477)
C (0.7141, 0.4981, 0.0523)
C (0.3924, 0.1713, 0.8045)
C (0.0121, 0.0911, 0.4145)
C (0.3732, 0.0474, 0.1551)
C (0.8269, 0.2605, 0.5245)
C (0.6738, 0.3754, 0.2027)
C (0.0253, 0.6075, 0.5122)
C (0.3269, 0.7605, 0.9755)
C (0.6076, 0.8287, 0.1955)
C (0.5094, 0.3812, 0.4919)
C (0.1731, 0.7395, 0.4755)
C (0.6731, 0.2395, 0.0245)
C (0.4794, 0.7595, 0.7701)
C (0.0094, 0.8812, 0.0081)
C (0.7859, 0.0019, 0.5523)
Cl (0.5117, 0.1794, 0.5859)
Cl (0.7306, 0.8969, 0.6920)
Cl (0.2555, 0.9655, 0.8874)
Cl (0.4883, 0.8206, 0.4141)
Cl (0.0117, 0.6794, 0.9141)
Cl (0.7694, 0.6031, 0.1920)
Cl (0.7466, 0.1956, 0.8613)
Cl (0.2694, 0.1031, 0.3080)
Cl (0.7534, 0.3044, 0.3613)
Cl (0.7555, 0.4655, 0.6126)
Cl (0.2445, 0.5345, 0.3874)
Cl (0.2534, 0.8044, 0.1387)
Cl (0.2306, 0.3969, 0.8080)
Cl (0.7445, 0.0345, 0.1126)
Cl (0.9883, 0.3206, 0.0859)
Cl (0.2466, 0.6956, 0.6387)
S (0.7303, 0.5804, 0.3834)
S (0.6141, 0.9972, 0.3590)
S (0.4946, 0.7853, 0.9962)
S (0.3309, 0.3953, 0.9508)
S (0.2697, 0.4196, 0.6166)
S (0.0054, 0.7147, 0.4962)
S (0.5551, 0.7195, 0.5291)
S (0.4460, 0.1770, 0.7301)
S (0.9460, 0.6770, 0.7699)
S (0.4449, 0.2805, 0.4709)
S (0.8859, 0.5028, 0.8590)
S (0.8309, 0.8953, 0.5492)
S (0.9946, 0.2853, 0.5038)
S (0.0015, 0.8467, 0.2897)
S (0.6691, 0.6047, 0.0492)
S (0.9985, 0.1533, 0.7103)
S (0.0551, 0.2195, 0.9709)
S (0.0540, 0.3230, 0.2301)
S (0.5015, 0.3467, 0.2103)
S (0.5540, 0.8230, 0.2699)
S (0.4985, 0.6533, 0.7897)
S (0.7697, 0.9196, 0.8834)
S (0.1141, 0.4972, 0.1410)
S (0.9449, 0.7805, 0.0291)
S (0.1691, 0.1047, 0.4508)
S (0.5054, 0.2147, 0.0038)
S (0.2303, 0.0804, 0.1166)
S (0.3859, 0.0028, 0.6410)
O (0.8165, 0.7654, 0.9929)
O (0.3165, 0.2654, 0.5071)
O (0.3632, 0.3808, 0.0161)
O (0.5564, 0.6552, 0.8523)
O (0.7841, 0.8268, 0.8670)
O (0.0728, 0.2829, 0.5617)
O (0.4436, 0.3448, 0.1477)
O (0.8154, 0.6799, 0.8052)
O (0.2784, 0.0464, 0.6054)
O (0.9436, 0.8448, 0.3523)
O (0.1835, 0.2346, 0.0071)
O (0.6846, 0.8201, 0.3052)
O (0.5728, 0.7829, 0.9383)
O (0.2159, 0.1732, 0.1330)
O (0.1368, 0.1192, 0.5161)
O (0.8632, 0.8808, 0.4839)
O (0.4272, 0.2171, 0.0617)
O (0.3154, 0.1799, 0.6948)
O (0.7784, 0.5464, 0.8946)
O (0.1846, 0.3201, 0.1948)
O (0.2216, 0.4536, 0.1054)
O (0.0564, 0.1552, 0.6477)
O (0.7216, 0.9536, 0.3946)
O (0.9272, 0.7171, 0.4383)
O (0.6835, 0.7346, 0.4929)
O (0.7159, 0.6732, 0.3670)
O (0.6368, 0.6192, 0.9839)
O (0.2841, 0.3268, 0.6330)
U (0.7530, 0.8045, 0.4054)
U (0.2470, 0.1955, 0.5946)
U (0.7470, 0.6955, 0.9054)
U (0.2530, 0.3045, 0.0946)

=====

[2]
Below is a relaxed TiP2H2O8 crystal, with properties calculated at the PBE-GGA level.

Output
* calculated formation energy: -2.5707 eV/atom
* mass density: 2.53 Mg/m³

a = 6.4039 Å, b = 5.2524 Å, c = 18.7330 Å
α = 89.84°, β = 90.00°, γ = 90.00°
Fractional positions:
O (0.2165, 0.6917, 0.5207)
O (0.0811, 0.2303, 0.5695)
O (0.4408, 0.7556, 0.1661)
O (0.0592, 0.7556, 0.6661)
O (0.2835, 0.6917, 0.0207)
O (0.2455, 0.9451, 0.2717)
O (0.7445, 0.4733, 0.6007)
O (0.5592, 0.2444, 0.8339)
O (0.7835, 0.3083, 0.4793)
O (0.7474, 0.9868, 0.0813)
O (0.9408, 0.2444, 0.3339)
O (0.4464, 0.7616, 0.6664)
O (0.7453, 0.5297, 0.2482)
O (0.0536, 0.7616, 0.1664)
O (0.2474, 0.0132, 0.4187)
O (0.2555, 0.5267, 0.3993)
O (0.9189, 0.7697, 0.4305)
O (0.4189, 0.2303, 0.0695)
O (0.9464, 0.2384, 0.8336)
O (0.2445, 0.5267, 0.8993)
O (0.7545, 0.0549, 0.7283)
O (0.7547, 0.5297, 0.7482)
O (0.5811, 0.7697, 0.9305)
O (0.2545, 0.9451, 0.7717)
O (0.2547, 0.4703, 0.7518)
O (0.7455, 0.0549, 0.2283)
O (0.2453, 0.4703, 0.2518)
O (0.5536, 0.2384, 0.3336)
O (0.7165, 0.3083, 0.9793)
O (0.7526, 0.9868, 0.5813)
O (0.2526, 0.0132, 0.9187)
O (0.7555, 0.4733, 0.1007)
P (0.2475, 0.7333, 0.2145)
P (0.7475, 0.2667, 0.2855)
P (0.7525, 0.2667, 0.7855)
P (0.6647, 0.2477, 0.0614)
P (0.2525, 0.7333, 0.7145)
P (0.1647, 0.7523, 0.4386)
P (0.3353, 0.7523, 0.9386)
P (0.8353, 0.2477, 0.5614)
H (0.1553, 0.3901, 0.5559)
H (0.8216, 0.1771, 0.4441)
H (0.3447, 0.3901, 0.0559)
H (0.3216, 0.8229, 0.0559)
H (0.1784, 0.8229, 0.5559)
H (0.6784, 0.1771, 0.9441)
H (0.8447, 0.6099, 0.4441)
H (0.6553, 0.6099, 0.9441)
Ti (0.2479, 0.2381, 0.8312)
Ti (0.2521, 0.2381, 0.3312)
Ti (0.7479, 0.7619, 0.6688)
Ti (0.7521, 0.7619, 0.1688)

=====

[3]
Below is a relaxed SrCaGdSbO6 crystal, with properties calculated at the PBE-GGA level.

Output
* calculated formation energy: -2.9458 eV/atom
* mass density: 5.60 Mg/m³

a = 5.9523 Å, b = 5.9523 Å, c = 5.9523 Å
α = 60.00°, β = 60.00°, γ = 60.00°
Fractional positions:
Gd (0.0000, 0.0000, 0.0000)
O (0.2639, 0.7361, 0.7361)
O (0.7361, 0.2639, 0.2639)
O (0.2639, 0.2639, 0.7361)
O (0.7361, 0.7361, 0.2639)
O (0.2639, 0.7361, 0.2639)
O (0.7361, 0.2639, 0.7361)
Sb (0.5000, 0.5000, 0.5000)
Ca (0.7500, 0.7500, 0.7500)
Sr (0.2500, 0.2500, 0.2500)